The following is a r²SCAN calculation of a relaxed structure of Tm2Te5O13, from Materials Project. Values from VASP.

Cell and atoms, written as Quantum ESPRESSO input:
```
&SYSTEM
  ibrav = 0, nat = 40, ntyp = 3
/
ATOMIC_SPECIES
Tm 168.93 Tm.upf
Te 127.60 Te.upf
O 16.00 O.upf
ATOMIC_POSITIONS crystal
Tm 0.448 0.470 0.820
Tm 0.552 0.530 0.180
Tm 0.000 0.260 0.761
Tm 0.000 0.740 0.239
Te 0.272 0.396 0.484
Te 0.438 0.903 0.302
Te 0.291 0.878 0.973
Te 0.728 0.604 0.516
Te 0.844 0.197 0.361
Te 0.709 0.122 0.027
Te 0.156 0.803 0.639
Te 0.127 0.351 0.105
Te 0.562 0.097 0.698
Te 0.873 0.649 0.895
O 0.314 0.735 0.288
O 0.654 0.018 0.876
O 0.336 0.513 0.617
O 0.059 0.820 0.038
O 0.326 0.226 0.778
O 0.459 0.194 0.520
O 0.936 0.985 0.305
O 0.468 0.671 0.000
O 0.064 0.015 0.695
O 0.127 0.493 0.898
O 0.674 0.774 0.222
O 0.957 0.648 0.434
O 0.941 0.180 0.962
O 0.936 0.731 0.722
O 0.532 0.329 0.000
O 0.873 0.507 0.102
O 0.043 0.352 0.566
O 0.664 0.487 0.383
O 0.346 0.982 0.124
O 0.668 0.263 0.228
O 0.064 0.269 0.278
O 0.767 0.500 0.816
O 0.233 0.500 0.184
O 0.541 0.806 0.480
O 0.686 0.265 0.712
O 0.332 0.737 0.772
CELL_PARAMETERS angstrom
-2.172 -6.345 -1.474
0.086 -4.228 7.501
-10.085 2.391 1.769
```

Results
Space-group type = No. 2
Calculated volume = 14.97 Å³ per atom
Final energy = -15.666 eV/atom
Total magnetic moment = 0.00 μB per formula unit
Energy of formation = -1.917 eV/atom